Re6P13: optimized geometry, PBE.

a = 9.5237 Å, b = 9.5237 Å, c = 9.5237 Å
α = 111.75°, β = 111.75°, γ = 111.75°
Fractional coordinates of all 38 atoms:
Re 0.0025 0.3344 0.2304
Re 0.1692 0.6792 0.5897
Re 0.2304 0.0025 0.3344
Re 0.3208 0.4103 0.8308
Re 0.3344 0.2304 0.0025
Re 0.4103 0.8308 0.3208
Re 0.5897 0.1692 0.6792
Re 0.6656 0.7696 0.9975
Re 0.6792 0.5897 0.1692
Re 0.7696 0.9975 0.6656
Re 0.8308 0.3208 0.4103
Re 0.9975 0.6656 0.7696
P 0.0968 0.2738 0.8876
P 0.1036 0.1115 0.5000
P 0.1115 0.5000 0.1036
P 0.1124 0.9032 0.7262
P 0.1204 0.4919 0.7048
P 0.1313 0.1313 0.1313
P 0.2738 0.8876 0.0968
P 0.2952 0.8796 0.5081
P 0.3037 0.5362 0.4968
P 0.4638 0.5032 0.6963
P 0.4919 0.7048 0.1204
P 0.4968 0.3037 0.5362
P 0.5000 0.1036 0.1115
P 0.5000 0.8964 0.8885
P 0.5032 0.6963 0.4638
P 0.5081 0.2952 0.8796
P 0.5362 0.4968 0.3037
P 0.6963 0.4638 0.5032
P 0.7048 0.1204 0.4919
P 0.7262 0.1124 0.9032
P 0.8687 0.8687 0.8687
P 0.8796 0.5081 0.2952
P 0.8876 0.0968 0.2738
P 0.8885 0.5000 0.8964
P 0.8964 0.8885 0.5000
P 0.9032 0.7262 0.1124

Summary:
Total DFT energy (no corrections), hartree per atom: -0.2940
Energy of formation, eV/atom: -0.37
SG: No. 148